This record from the Materials Project describes crystalline Ti3Zn3C at its relaxed geometry. The functional is r²SCAN.

Values from the calculation:
Total DFT energy (no corrections): -11.290 eV/atom
ΔH_f (0 K): -506 meV per atom
Space group: Fd-3m

Lattice parameters (Å, degrees): 8.138 8.138 8.138 60.00 60.00 60.00
Atoms (fractional coordinates):
Ti1 0.933 0.567 0.567
Ti2 0.317 0.317 0.683
Ti3 0.317 0.683 0.317
Ti4 0.933 0.933 0.567
Ti5 0.683 0.317 0.683
Ti6 0.933 0.567 0.933
Ti7 0.567 0.933 0.933
Ti8 0.683 0.683 0.317
Ti9 0.683 0.317 0.317
Ti10 0.567 0.567 0.933
Ti11 0.567 0.933 0.567
Ti12 0.317 0.683 0.683
C1 0.625 0.625 0.125
C2 0.625 0.625 0.625
C3 0.625 0.125 0.625
C4 0.125 0.625 0.625
Zn1 0.334 0.998 0.334
Zn2 0.125 0.625 0.125
Zn3 0.252 0.916 0.916
Zn4 0.916 0.916 0.916
Zn5 0.334 0.334 0.998
Zn6 0.125 0.125 0.625
Zn7 0.625 0.125 0.125
Zn8 0.916 0.252 0.916
Zn9 0.125 0.125 0.125
Zn10 0.916 0.916 0.252
Zn11 0.998 0.334 0.334
Zn12 0.334 0.334 0.334

This record from the Materials Project describes crystalline Yb3TlC at its relaxed geometry. The functional is r²SCAN.

Values from the calculation:
Total DFT energy (no corrections): -32.964 eV/atom
ΔH_f (0 K): 1579 meV per atom
Space group: Pm-3m

Lattice parameters (Å, degrees): 5.452 5.452 5.452 90.00 90.00 90.00
Atoms (fractional coordinates):
Tl1 0.500 0.500 0.500
Yb1 0.000 0.500 0.500
Yb2 0.500 0.000 0.500
Yb3 0.500 0.500 0.000
C1 0.000 0.000 0.000

This record from the Materials Project describes crystalline Tm2C at its relaxed geometry. The functional is r²SCAN.

Values from the calculation:
Total DFT energy (no corrections): -27.236 eV/atom
ΔH_f (0 K): -506 meV per atom
Space group: R-3m

Lattice parameters (Å, degrees): 3.533 3.533 6.283 73.67 90.00 120.00
Atoms (fractional coordinates):
Tm1 0.990 0.980 0.029
Tm2 0.510 0.020 0.471
C1 0.250 0.500 0.250

Number 1 is which compound? Ti3Zn3C